# 1
Ba2In2O5 (GGA-PBE, relaxed); energy of formation = -2.2728 eV per atom; calculated total energy = -5.68 eV/atom; symmetry = P1, No. 1; crystal system = triclinic
1.0
6.0656 0.0000 0.0000
0.0004 6.0659 0.0000
3.0315 3.0314 4.3466
Ba In O
2 2 5
Cartesian
0.0000 0.0000 0.0000 Ba
3.0239 3.0441 0.0133 Ba
3.0116 6.0621 2.0267 In
6.0440 3.0286 2.3522 In
4.4909 4.5268 2.2229 O
3.0064 6.0346 0.0203 O
4.5282 7.5844 2.1862 O
7.5271 4.5580 2.1729 O
7.5715 7.5735 2.2150 O

=====

# 2
Sm2Fe15Si2 (GGA-PBE, relaxed); energy of formation = -0.1443 eV per atom; calculated total energy = -7.91 eV/atom; distance to the lowest polymorph of the same formula = 0.0 meV per atom; symmetry = Cm, No. 8; crystal system = monoclinic
1.0
4.8001 -4.2246 0.0000
4.8001 4.2246 0.0000
-1.0819 0.0000 6.3344
Sm Fe Si
2 15 2
Cartesian
0.0000 0.0000 0.0000 Sm
6.2024 0.0000 2.0242 Sm
-0.5194 0.0000 3.1695 Fe
1.4850 1.2470 2.2940 Fe
2.5925 2.4906 4.1683 Fe
3.8164 2.1023 2.0049 Fe
1.5844 0.0000 4.7749 Fe
3.1094 0.0000 0.9757 Fe
4.9891 2.1386 4.1791 Fe
1.4850 -1.2470 2.2940 Fe
3.6969 1.2457 6.0228 Fe
3.6086 0.0000 3.5544 Fe
2.5925 -2.4906 4.1683 Fe
3.6969 -1.2457 6.0228 Fe
3.8164 -2.1023 2.0049 Fe
5.6872 0.0000 5.1513 Fe
4.9891 -2.1386 4.1791 Fe
1.3325 2.0827 6.3143 Si
1.3325 -2.0827 6.3143 Si

=====

# 3
UPt3 (GGA-PBE, relaxed); energy of formation = -0.7417 eV per atom; calculated total energy = -8.12 eV/atom; symmetry = P6_3/mmc, No. 194; crystal system = hexagonal
1.0
5.7770 0.0000 0.0000
-2.8885 5.0030 0.0000
0.0000 0.0000 4.9976
U Pt
2 6
Cartesian
0.0000 3.3354 1.2494 U
2.8885 1.6677 3.7482 U
0.0000 1.6495 3.7482 Pt
-1.4600 4.1783 3.7482 Pt
1.4285 0.8248 1.2494 Pt
1.4600 4.1783 3.7482 Pt
4.3485 0.8248 1.2494 Pt
2.8885 3.3535 1.2494 Pt

=====

# 4
CrN2 (GGA-PBE, relaxed); energy of formation = -0.1116 eV per atom; calculated total energy = -8.65 eV/atom; symmetry = Fd-3m, No. 227; crystal system = cubic
1.0
0.0000 3.9890 3.9890
3.9890 0.0000 3.9890
3.9890 3.9890 0.0000
Cr N
2 4
Cartesian
0.9973 0.9973 0.9973 Cr
6.9808 6.9808 6.9808 Cr
0.0000 0.0000 0.0000 N
1.9945 1.9945 0.0000 N
1.9945 0.0000 1.9945 N
0.0000 1.9945 1.9945 N

=====

# 5
PmCl2 (GGA-PBE, relaxed); energy of formation = -2.3483 eV per atom; calculated total energy = -4.75 eV/atom; symmetry = P4_2/mnm, No. 136; crystal system = tetragonal
1.0
7.1016 0.0000 0.0000
0.0000 7.1016 0.0000
0.0000 0.0000 3.5721
Pm Cl
2 4
Cartesian
0.0000 0.0000 0.0000 Pm
3.5508 3.5508 1.7860 Pm
1.5587 1.5587 1.7860 Cl
1.9921 5.1095 0.0000 Cl
5.1095 1.9921 0.0000 Cl
5.5429 5.5429 1.7860 Cl

=====

# 6
Sr2PrCu3Pb2O8 (GGA-PBE, relaxed); energy of formation = -2.0333 eV per atom; calculated total energy = -5.91 eV/atom; symmetry = P-1, No. 2; crystal system = triclinic
1.0
3.8658 0.0000 0.0000
0.0334 3.9024 0.0000
0.1563 0.2840 16.0337
Sr Pr Cu Pb O
2 1 3 2 8
Cartesian
0.0516 0.1089 4.4243 Sr
4.0039 4.0774 11.6094 Sr
0.0781 0.1420 8.0169 Pr
0.0000 0.0000 0.0000 Cu
2.0434 2.1197 9.7889 Cu
2.0121 2.0667 6.2448 Cu
2.0693 2.2191 14.2610 Pb
1.9862 1.9672 1.7727 Pb
0.1112 2.1084 9.5928 O
3.9443 2.0779 6.4409 O
0.1330 0.4113 1.8037 O
2.0608 2.1251 12.0810 O
1.9923 0.1145 6.4331 O
2.0632 4.0718 9.6007 O
1.9947 2.0613 3.9527 O
3.9225 3.7750 14.2300 O

=====

# 7
Sn3Pt2 (GGA-PBE, relaxed); energy of formation = -0.5029 eV per atom; calculated total energy = -5.34 eV/atom; symmetry = P6_3/mmc, No. 194; crystal system = hexagonal
1.0
4.4141 0.0000 0.0000
-2.2070 3.8227 0.0000
0.0000 0.0000 13.2100
Sn Pt
6 4
Cartesian
0.0000 0.0000 3.3025 Sn
0.0000 0.0000 9.9075 Sn
0.0000 2.5485 0.9342 Sn
0.0000 2.5485 5.6708 Sn
2.2070 1.2742 7.5392 Sn
2.2070 1.2742 12.2758 Sn
0.0000 2.5485 8.4992 Pt
0.0000 2.5485 11.3158 Pt
2.2070 1.2742 1.8942 Pt
2.2070 1.2742 4.7108 Pt

=====

# 8
Ce3Sn3Ge2 (GGA-PBE, relaxed); energy of formation = -0.4302 eV per atom; calculated total energy = -5.31 eV/atom; symmetry = P6_3/mmc, No. 194; crystal system = hexagonal
1.0
4.6487 0.0000 0.0000
-2.3244 4.0259 0.0000
0.0000 0.0000 23.3456
Ce Sn Ge
6 6 4
Cartesian
0.0000 2.6840 1.7443 Ce
0.0000 2.6840 5.8364 Ce
0.0000 2.6840 9.9285 Ce
2.3244 1.3420 13.4171 Ce
2.3244 1.3420 17.5092 Ce
2.3244 1.3420 21.6013 Ce
0.0000 0.0000 0.0000 Sn
0.0000 0.0000 11.6728 Sn
0.0000 2.6840 15.3686 Sn
0.0000 2.6840 19.6498 Sn
2.3244 1.3420 3.6958 Sn
2.3244 1.3420 7.9770 Sn
0.0000 0.0000 3.9214 Ge
0.0000 0.0000 7.7514 Ge
0.0000 0.0000 15.5942 Ge
0.0000 0.0000 19.4242 Ge

=====

> Look up the energy of formation of the sixth one.

-2.0333 eV per atom